Material: Ba2SmMgSbO6
Method: DFT, PBE
State: optimized geometry

Values from the calculation:
* offset from the most stable computed form: 6.296 kcal/mol of atoms
* total magnetization: 0.0000 μB/atom
* calculated formation energy: -2.49 eV per atom

Cell lengths 6.237, 6.338, 9.962 Å; angles 90.00, 90.00, 90.00 degrees
Space group Immm (No. 71)
Symmetry-distinct sites (fractional):
1 Ba 0.000 0.000 0.192 [4 per cell]
2 Sm 0.000 0.500 0.000 [2 per cell]
3 Mg 0.000 0.000 0.500 [2 per cell]
4 Sb 0.000 0.500 0.500 [2 per cell]
5 O 0.000 0.500 0.246 [4 per cell]
6 O 0.229 0.234 0.500 [8 per cell]

***

Material: MgBi2Sb2O8
Method: DFT, PBE
State: optimized geometry

Values from the calculation:
* offset from the most stable computed form: 0.000 kcal/mol of atoms
* total magnetization: 0.0000 μB/atom
* calculated formation energy: -1.86 eV per atom

Cell lengths 5.925, 6.045, 6.757 Å; angles 110.25, 96.69, 94.80 degrees
Space group P1 (No. 1)
Symmetry-distinct sites (fractional):
1 Mg 0.000 0.000 0.000 [1 per cell]
2 Bi 0.297 0.283 0.467 [1 per cell]
3 Bi 0.761 0.934 0.468 [1 per cell]
4 Sb 0.027 0.488 0.969 [1 per cell]
5 Sb 0.498 0.044 0.937 [1 per cell]
6 O 0.047 0.985 0.289 [1 per cell]
7 O 0.226 0.806 0.842 [1 per cell]
8 O 0.263 0.289 0.059 [1 per cell]
9 O 0.485 0.116 0.662 [1 per cell]
10 O 0.534 0.060 0.254 [1 per cell]
11 O 0.712 0.817 0.821 [1 per cell]
12 O 0.792 0.287 0.055 [1 per cell]
13 O 0.986 0.267 0.665 [1 per cell]

***

Material: Ce2Sb3Pd9
Method: DFT, PBE
State: optimized geometry

Values from the calculation:
* total magnetization: 0.0887 μB/atom
* calculated formation energy: -0.69 eV per atom

Cell lengths 13.944, 8.098, 9.413 Å; angles 90.00, 90.00, 90.00 degrees
Space group Cmcm (No. 63)
Symmetry-distinct sites (fractional):
1 Ce 0.154 0.173 0.250 [8 per cell]
2 Sb 0.000 0.000 0.000 [4 per cell]
3 Sb 0.177 0.500 0.000 [8 per cell]
4 Pd 0.000 0.148 0.750 [4 per cell]
5 Pd 0.000 0.331 0.037 [8 per cell]
6 Pd 0.098 0.462 0.750 [8 per cell]
7 Pd 0.172 0.172 0.590 [16 per cell]

***

Material: Fe5SiB2
Method: DFT, PBE
State: optimized geometry

Values from the calculation:
* total magnetization: 1.0593 μB/atom
* calculated formation energy: -0.36 eV per atom

Cell lengths 5.510, 5.510, 10.280 Å; angles 90.00, 90.00, 90.00 degrees
Space group I4/mcm (No. 140)
Symmetry-distinct sites (fractional):
1 Fe 0.000 0.000 0.000 [4 per cell]
2 Fe 0.169 0.331 0.136 [16 per cell]
3 Si 0.000 0.000 0.250 [4 per cell]
4 B 0.120 0.380 0.500 [8 per cell]